# MgB2H8 PBE-GGA optimized geometry
data_MgB2H8
_space_group_name_H-M_alt 'P 1'
_space_group_IT_number 1
_space_group_name_Hall 'P 1'
_cell_length_a 4.3119
_cell_length_b 6.0968
_cell_length_c 8.3907
_cell_angle_alpha 90.00
_cell_angle_beta 90.00
_cell_angle_gamma 90.00
loop_
_atom_site_label
_atom_site_fract_x
_atom_site_fract_y
_atom_site_fract_z
_atom_site_occupancy
Mg1 0.0000 0.6984 0.5006 1
Mg2 0.0000 0.3016 0.0006 1
B1 0.0000 0.5180 0.2449 1
B2 0.0000 0.4820 0.7449 1
B3 0.5000 0.1024 0.9788 1
B4 0.5000 0.8976 0.4788 1
H1 0.2798 0.9418 0.5668 1
H2 0.5000 0.0082 0.3599 1
H3 0.5000 0.9918 0.8599 1
H4 0.0000 0.4168 0.3722 1
H5 0.0000 0.7186 0.2557 1
H6 0.2798 0.0582 0.0668 1
H7 0.7599 0.5317 0.6762 1
H8 0.2401 0.4683 0.1762 1
H9 0.0000 0.2814 0.7557 1
H10 0.5000 0.7004 0.4427 1
H11 0.7202 0.0582 0.0668 1
H12 0.0000 0.5832 0.8722 1
H13 0.7202 0.9418 0.5668 1
H14 0.2401 0.5317 0.6762 1
H15 0.7599 0.4683 0.1762 1
H16 0.5000 0.2996 0.9427 1
# VASP energy (eV/cell): -88.60
# Maximum piezoelectric response (C/m²): 0.06
# Formation enthalpy at 0 K (eV per atom): -0.330
# Space-group type: Pmc2_1